Entry 1:
{"formula": "Ni4W", "functional": "GGA-PBE", "state": "relaxed", "cell": [[5.7370, 0.0000, 0.0000], [0.0000, 5.7370, 0.0000], [0.0000, 0.0000, 3.5525]], "species": ["Ni", "Ni", "Ni", "Ni", "Ni", "Ni", "Ni", "Ni", "W", "W"], "frac_coords": [[0.0996, 0.3008, 0.0000], [0.1992, 0.5996, 0.5000], [0.3008, 0.9004, 0.0000], [0.4004, 0.1992, 0.5000], [0.5996, 0.8008, 0.5000], [0.6992, 0.0996, 0.0000], [0.8008, 0.4004, 0.5000], [0.9004, 0.6992, 0.0000], [0.0000, 0.0000, 0.5000], [0.5000, 0.5000, 0.0000]], "e_tot_ev_per_atom": -7.32, "e_form_ev_per_atom": -0.108, "space_group": "No. 87"}


Entry 2:
{"formula": "MgAsH7O4", "functional": "GGA-PBE", "state": "relaxed", "cell": [[3.2648, -11.2918, 0.0000], [3.2648, 11.2918, 0.0000], [-0.7869, 0.0000, 10.7614]], "species": ["Mg", "Mg", "Mg", "Mg", "As", "As", "As", "As", "H", "H", "H", "H", "H", "H", "H", "H", "H", "H", "H", "H", "H", "H", "H", "H", "H", "H", "H", "H", "H", "H", "H", "H", "H", "H", "H", "H", "O", "O", "O", "O", "O", "O", "O", "O", "O", "O", "O", "O", "O", "O", "O", "O"], "frac_coords": [[0.1385, 0.8615, 0.7500], [0.2670, 0.7330, 0.7500], [0.7330, 0.2670, 0.2500], [0.8615, 0.1385, 0.2500], [0.3525, 0.5603, 0.1444], [0.4397, 0.6475, 0.3556], [0.5603, 0.3525, 0.6444], [0.6475, 0.4397, 0.8556], [0.0266, 0.2248, 0.0035], [0.0300, 0.4295, 0.4205], [0.0452, 0.5984, 0.1533], [0.0605, 0.3662, 0.8657], [0.0788, 0.2124, 0.8702], [0.2124, 0.0788, 0.3702], [0.2248, 0.0266, 0.5035], [0.3662, 0.0605, 0.3657], [0.4016, 0.9548, 0.3467], [0.4295, 0.0300, 0.9205], [0.4364, 0.5365, 0.6243], [0.4635, 0.5636, 0.8757], [0.4806, 0.5144, 0.6325], [0.4856, 0.5194, 0.8675], [0.5144, 0.4806, 0.1325], [0.5194, 0.4856, 0.3675], [0.5365, 0.4364, 0.1243], [0.5636, 0.4635, 0.3757], [0.5705, 0.9700, 0.0795], [0.5984, 0.0452, 0.6533], [0.6338, 0.9395, 0.6343], [0.7752, 0.9734, 0.4965], [0.7876, 0.9212, 0.6298], [0.9212, 0.7876, 0.1298], [0.9395, 0.6338, 0.1343], [0.9548, 0.4016, 0.8467], [0.9700, 0.5705, 0.5795], [0.9734, 0.7752, 0.9965], [0.0038, 0.7972, 0.0933], [0.0612, 0.6532, 0.6551], [0.0827, 0.2792, 0.1401], [0.0895, 0.4760, 0.8385], [0.2028, 0.9962, 0.4067], [0.2792, 0.0827, 0.6401], [0.3468, 0.9388, 0.8449], [0.4760, 0.0895, 0.3385], [0.5240, 0.9105, 0.6615], [0.6532, 0.0612, 0.1551], [0.7208, 0.9173, 0.3599], [0.7972, 0.0038, 0.5933], [0.9105, 0.5240, 0.1615], [0.9173, 0.7208, 0.8599], [0.9388, 0.3468, 0.3449], [0.9962, 0.2028, 0.9067]], "energy_corrected_mp2020_ev_per_atom": -4.999, "m_tot_mub_per_cell": 0.0, "e_tot_ev_per_atom": -4.79, "e_form_ev_per_atom": -1.168, "space_group": "No. 15"}


Entry 3:
{"formula": "GaPt", "functional": "GGA-PBE", "state": "relaxed", "cell": [[4.9729, 0.0000, 0.0000], [0.0000, 4.9729, 0.0000], [0.0000, 0.0000, 4.9729]], "species": ["Ga", "Ga", "Ga", "Ga", "Pt", "Pt", "Pt", "Pt"], "frac_coords": [[0.1584, 0.3416, 0.6584], [0.3416, 0.6584, 0.1584], [0.6584, 0.1584, 0.3416], [0.8416, 0.8416, 0.8416], [0.1397, 0.1397, 0.1397], [0.3603, 0.8603, 0.6397], [0.6397, 0.3603, 0.8603], [0.8603, 0.6397, 0.3603]], "e_tot_ev_per_atom": -5.18, "e_form_ev_per_atom": -0.630, "space_group": "No. 198"}


Entry 4:
{"formula": "BiOF", "functional": "GGA-PBE", "state": "relaxed", "cell": [[5.8283, 0.0000, 0.0000], [0.0000, 11.9017, 0.0000], [0.0000, 0.0000, 12.0868]], "species": ["Bi", "Bi", "Bi", "Bi", "Bi", "Bi", "Bi", "Bi", "Bi", "Bi", "Bi", "Bi", "Bi", "Bi", "Bi", "Bi", "O", "O", "O", "O", "O", "O", "O", "O", "O", "O", "O", "O", "O", "O", "O", "O", "F", "F", "F", "F", "F", "F", "F", "F", "F", "F", "F", "F", "F", "F", "F", "F"], "frac_coords": [[0.2102, 0.0133, 0.1148], [0.2102, 0.4867, 0.6148], [0.2173, 0.7277, 0.3586], [0.2173, 0.7723, 0.8586], [0.2827, 0.2277, 0.3586], [0.2827, 0.2723, 0.8586], [0.2898, 0.5133, 0.1148], [0.2898, 0.9867, 0.6148], [0.7102, 0.0133, 0.3852], [0.7102, 0.4867, 0.8852], [0.7173, 0.7277, 0.1414], [0.7173, 0.7723, 0.6414], [0.7827, 0.2277, 0.1414], [0.7827, 0.2723, 0.6414], [0.7898, 0.5133, 0.3852], [0.7898, 0.9867, 0.8852], [0.0714, 0.1447, 0.2346], [0.0714, 0.3553, 0.7346], [0.0930, 0.5872, 0.4583], [0.0930, 0.9128, 0.9583], [0.4070, 0.0872, 0.4583], [0.4070, 0.4128, 0.9583], [0.4286, 0.6447, 0.2346], [0.4286, 0.8553, 0.7346], [0.5714, 0.1447, 0.2654], [0.5714, 0.3553, 0.7654], [0.5930, 0.5872, 0.0417], [0.5930, 0.9128, 0.5417], [0.9070, 0.0872, 0.0417], [0.9070, 0.4128, 0.5417], [0.9286, 0.6447, 0.2654], [0.9286, 0.8553, 0.7654], [0.0114, 0.6111, 0.7215], [0.0114, 0.8889, 0.2215], [0.0505, 0.6575, 0.0297], [0.0505, 0.8425, 0.5297], [0.4495, 0.1575, 0.0297], [0.4495, 0.3425, 0.5297], [0.4886, 0.1111, 0.7215], [0.4886, 0.3889, 0.2215], [0.5114, 0.6111, 0.7785], [0.5114, 0.8889, 0.2785], [0.5505, 0.6575, 0.4703], [0.5505, 0.8425, 0.9703], [0.9495, 0.1575, 0.4703], [0.9495, 0.3425, 0.9703], [0.9886, 0.1111, 0.7785], [0.9886, 0.3889, 0.2785]], "energy_corrected_mp2020_ev_per_atom": -5.783, "m_tot_mub_per_cell": 0.0, "e_tot_ev_per_atom": -5.40, "e_form_ev_per_atom": -2.198, "space_group": "No. 61"}


Entry 5:
{"formula": "Sc2InC", "functional": "GGA-PBE", "state": "relaxed", "cell": [[3.3525, 0.0000, 0.0000], [-1.6763, 2.9034, 0.0000], [0.0000, 0.0000, 15.3910]], "species": ["Sc", "Sc", "Sc", "Sc", "In", "In", "C", "C"], "frac_coords": [[0.3333, 0.6667, 0.0797], [0.3333, 0.6667, 0.4203], [0.6667, 0.3333, 0.5797], [0.6667, 0.3333, 0.9203], [0.3333, 0.6667, 0.7500], [0.6667, 0.3333, 0.2500], [0.0000, 0.0000, 0.0000], [0.0000, 0.0000, 0.5000]], "e_tot_ev_per_atom": -6.71, "e_form_ev_per_atom": -0.545, "space_group": "No. 194"}


Entry 6:
{"formula": "Na2CoS2", "functional": "GGA-PBE", "state": "relaxed", "cell": [[-3.1860, 5.7174, 2.7859], [3.1860, -5.7174, 2.7859], [3.1860, 5.7174, -2.7859]], "species": ["Na", "Na", "Na", "Na", "Co", "Co", "S", "S", "S", "S"], "frac_coords": [[0.1433, 0.1568, 0.3002], [0.3567, 0.6568, 0.0135], [0.6433, 0.3432, 0.9865], [0.8567, 0.8432, 0.6998], [0.2500, 0.7500, 0.5000], [0.7500, 0.2500, 0.5000], [0.1099, 0.7065, 0.8164], [0.3901, 0.2065, 0.5967], [0.6099, 0.7935, 0.4033], [0.8901, 0.2935, 0.1836]], "energy_corrected_mp2020_ev_per_atom": -4.501, "m_tot_mub_per_cell": 2.2, "e_tot_ev_per_atom": -4.30, "e_form_ev_per_atom": -0.896, "space_group": "No. 72"}


Entry 7:
{"formula": "Pm2AgOs", "functional": "GGA-PBE", "state": "relaxed", "cell": [[7.1836, 0.0000, 0.0000], [0.0000, 7.1836, 0.0000], [0.0000, 0.0000, 7.1836]], "species": ["Pm", "Pm", "Pm", "Pm", "Pm", "Pm", "Pm", "Pm", "Ag", "Ag", "Ag", "Ag", "Os", "Os", "Os", "Os"], "frac_coords": [[0.2500, 0.2500, 0.2500], [0.2500, 0.2500, 0.7500], [0.2500, 0.7500, 0.2500], [0.2500, 0.7500, 0.7500], [0.7500, 0.2500, 0.2500], [0.7500, 0.2500, 0.7500], [0.7500, 0.7500, 0.2500], [0.7500, 0.7500, 0.7500], [0.0000, 0.0000, 0.0000], [0.0000, 0.5000, 0.5000], [0.5000, 0.0000, 0.5000], [0.5000, 0.5000, 0.0000], [0.0000, 0.0000, 0.5000], [0.0000, 0.5000, 0.0000], [0.5000, 0.0000, 0.0000], [0.5000, 0.5000, 0.5000]], "e_tot_ev_per_atom": -6.04, "e_form_ev_per_atom": -0.146, "space_group": "No. 225"}


Entry 8:
{"formula": "Ti2P2SO12", "functional": "GGA-PBE", "state": "relaxed", "cell": [[-2.8421, -3.2829, 7.4124], [-4.0056, -1.9158, -7.3624], [13.3539, -17.5626, -2.6580]], "species": ["O", "P", "Ti", "O", "Ti", "O", "O", "P", "O", "Ti", "Ti", "O", "O", "P", "P", "S", "P", "O", "O", "S", "O", "O", "O", "O", "O", "O", "O", "O", "O", "O", "O", "Ti", "O", "O", "O", "O", "O", "O", "O", "O", "S", "O", "O", "S", "O", "O", "O", "O", "O", "O", "S", "Ti", "O", "O", "P", "O", "P", "Ti", "O", "O", "O", "O", "O", "O", "O", "P", "Ti", "Ti", "S", "O", "P", "P", "O", "O", "O", "P", "O", "Ti", "Ti", "O", "P", "O", "O", "O", "O", "O", "O", "O", "O", "O", "O", "O", "O", "O", "O", "O", "O", "O", "O", "O", "O", "Ti"], "frac_coords": [[0.6935, 0.5332, 0.2421], [0.9523, 0.6199, 0.0832], [0.6814, 0.3394, 0.4771], [0.8608, 0.5023, 0.4259], [0.3376, 0.6708, 0.5231], [0.0268, 0.1998, 0.9088], [0.1320, 0.6332, 0.3609], [0.6189, 0.9532, 0.4165], [0.3662, 0.4914, 0.3625], [0.3332, 0.6708, 0.0231], [0.3481, 0.6728, 0.8104], [0.1252, 0.4914, 0.8625], [0.6416, 0.5023, 0.9259], [0.7152, 0.0038, 0.7505], [0.6219, 0.6705, 0.9172], [0.7115, 0.7134, 0.2499], [0.9553, 0.3372, 0.5838], [0.1394, 0.6409, 0.0728], [0.6969, 0.5306, 0.5274], [0.0449, 0.3801, 0.9166], [0.5004, 0.8640, 0.3607], [0.8397, 0.5332, 0.7421], [0.1679, 0.9666, 0.1942], [0.0249, 0.8331, 0.4060], [0.1586, 0.4588, 0.9708], [0.5015, 0.6409, 0.5728], [0.9679, 0.1673, 0.3058], [0.5324, 0.6984, 0.9725], [0.8327, 0.0317, 0.8059], [0.9749, 0.1690, 0.5926], [0.5013, 0.6332, 0.8609], [0.3247, 0.6728, 0.3104], [0.8339, 0.8059, 0.5939], [0.4919, 0.1254, 0.6374], [0.3002, 0.4588, 0.4708], [0.8253, 0.7921, 0.3041], [0.1991, 0.0317, 0.3059], [0.6916, 0.1665, 0.7394], [0.4585, 0.1580, 0.5292], [0.4993, 0.3651, 0.1392], [0.3782, 0.0467, 0.5833], [0.4653, 0.2999, 0.0275], [0.4749, 0.1665, 0.2394], [0.3352, 0.3801, 0.4166], [0.1941, 0.1690, 0.0926], [0.4925, 0.3576, 0.4255], [0.1984, 0.0242, 0.5922], [0.0328, 0.8247, 0.6959], [0.8651, 0.3576, 0.9255], [0.3013, 0.8340, 0.9725], [0.0019, 0.7134, 0.7499], [0.6666, 0.3375, 0.6898], [0.3053, 0.4726, 0.7605], [0.8338, 0.5306, 0.0274], [0.6676, 0.6199, 0.5832], [0.6995, 0.1580, 0.0292], [0.2856, 0.2865, 0.7499], [0.9913, 0.0061, 0.6437], [0.6335, 0.1254, 0.1374], [0.7987, 0.9666, 0.6942], [0.6346, 0.5006, 0.6392], [0.5006, 0.1392, 0.9272], [0.7919, 0.8247, 0.1959], [0.5317, 0.6909, 0.2588], [0.1730, 0.1998, 0.4088], [0.3819, 0.3372, 0.0838], [0.0042, 0.0041, 0.8565], [0.6580, 0.3394, 0.9771], [0.6685, 0.0467, 0.0833], [0.9720, 0.8059, 0.0939], [0.0486, 0.6705, 0.4172], [0.0009, 0.2865, 0.2499], [0.1591, 0.6909, 0.7588], [0.3601, 0.8665, 0.5754], [0.8657, 0.3651, 0.6392], [0.3343, 0.9532, 0.9165], [0.8061, 0.9742, 0.4062], [0.6709, 0.3375, 0.1898], [0.9999, 0.0041, 0.3565], [0.6387, 0.1392, 0.4272], [0.2886, 0.0038, 0.2505], [0.1415, 0.4998, 0.5727], [0.8348, 0.3075, 0.2395], [0.8082, 0.8331, 0.9060], [0.8258, 0.0242, 0.0922], [0.9668, 0.7921, 0.8041], [0.1681, 0.9742, 0.9062], [0.1671, 0.1973, 0.6940], [0.4727, 0.3075, 0.7395], [0.1672, 0.4726, 0.2605], [0.8346, 0.2999, 0.5275], [0.0302, 0.1973, 0.1940], [0.3082, 0.8357, 0.2592], [0.5274, 0.8357, 0.7592], [0.8660, 0.5006, 0.1392], [0.1660, 0.6984, 0.4725], [0.1994, 0.1673, 0.8058], [0.3635, 0.8640, 0.8607], [0.5327, 0.8340, 0.4725], [0.3582, 0.4998, 0.0727], [0.5064, 0.8665, 0.0754], [0.0148, 0.0061, 0.1437]], "energy_corrected_mp2020_ev_per_atom": -8.111, "m_tot_mub_per_cell": 0.0, "e_tot_ev_per_atom": -7.63, "e_form_ev_per_atom": -2.809}


Entry 9:
{"formula": "Zn3CdO4", "functional": "GGA-PBE", "state": "relaxed", "cell": [[3.3643, 0.0000, 0.0000], [-1.6822, 2.9136, 0.0000], [0.0000, 0.0000, 11.0241]], "species": ["Zn", "Zn", "Zn", "Cd", "O", "O", "O", "O"], "frac_coords": [[0.0000, 0.0000, 0.0000], [0.0000, 0.0000, 0.4732], [0.6667, 0.3333, 0.2367], [0.6667, 0.3333, 0.7415], [0.0000, 0.0000, 0.1818], [0.0000, 0.0000, 0.6530], [0.6667, 0.3333, 0.4181], [0.6667, 0.3333, 0.9451]], "energy_corrected_mp2020_ev_per_atom": -4.709, "m_tot_mub_per_cell": 0.0, "e_tot_ev_per_atom": -4.37, "e_form_ev_per_atom": -1.647, "space_group": "No. 156"}


Entry 10:
{"formula": "In2S3O12", "functional": "GGA-PBE", "state": "relaxed", "cell": [[8.6728, 0.0000, 0.0000], [0.0000, 8.9632, 0.0000], [-8.4955, 0.0000, 12.2251]], "species": ["In", "In", "In", "In", "In", "In", "In", "In", "S", "S", "S", "S", "S", "S", "S", "S", "S", "S", "S", "S", "O", "O", "O", "O", "O", "O", "O", "O", "O", "O", "O", "O", "O", "O", "O", "O", "O", "O", "O", "O", "O", "O", "O", "O", "O", "O", "O", "O", "O", "O", "O", "O", "O", "O", "O", "O", "O", "O", "O", "O", "O", "O", "O", "O", "O", "O", "O", "O"], "frac_coords": [[0.1342, 0.0369, 0.3856], [0.1342, 0.4631, 0.8856], [0.3649, 0.0326, 0.1139], [0.3649, 0.4674, 0.6139], [0.6351, 0.5326, 0.3861], [0.6351, 0.9674, 0.8861], [0.8658, 0.5369, 0.1144], [0.8658, 0.9631, 0.6144], [0.0431, 0.7473, 0.5031], [0.0431, 0.7527, 0.0031], [0.2418, 0.1191, 0.8456], [0.2418, 0.3809, 0.3456], [0.4617, 0.6164, 0.8536], [0.4617, 0.8836, 0.3536], [0.5383, 0.1164, 0.6464], [0.5383, 0.3836, 0.1464], [0.7582, 0.6191, 0.6544], [0.7582, 0.8809, 0.1544], [0.9569, 0.2473, 0.9969], [0.9569, 0.2527, 0.4969], [0.0087, 0.6284, 0.9281], [0.0087, 0.8716, 0.4281], [0.0384, 0.6989, 0.0960], [0.0384, 0.8011, 0.5960], [0.0731, 0.0214, 0.7850], [0.0731, 0.4786, 0.2850], [0.1029, 0.1328, 0.0617], [0.1029, 0.3672, 0.5617], [0.1886, 0.2216, 0.3158], [0.1886, 0.2784, 0.8158], [0.2308, 0.6816, 0.5466], [0.2308, 0.8184, 0.0466], [0.3360, 0.0978, 0.9645], [0.3360, 0.4022, 0.4645], [0.3407, 0.6149, 0.8952], [0.3407, 0.8851, 0.3952], [0.3428, 0.0730, 0.5587], [0.3428, 0.4270, 0.0587], [0.3729, 0.0823, 0.8149], [0.3729, 0.4177, 0.3149], [0.3837, 0.5083, 0.7624], [0.3837, 0.9917, 0.2624], [0.4619, 0.7314, 0.3139], [0.4619, 0.7686, 0.8139], [0.5381, 0.2314, 0.1861], [0.5381, 0.2686, 0.6861], [0.6163, 0.0083, 0.7376], [0.6163, 0.4917, 0.2376], [0.6271, 0.5823, 0.6851], [0.6271, 0.9177, 0.1851], [0.6572, 0.5730, 0.9413], [0.6572, 0.9270, 0.4413], [0.6593, 0.1149, 0.6048], [0.6593, 0.3851, 0.1048], [0.6640, 0.5978, 0.5355], [0.6640, 0.9022, 0.0355], [0.7692, 0.1816, 0.9534], [0.7692, 0.3184, 0.4534], [0.8114, 0.7216, 0.1842], [0.8114, 0.7784, 0.6842], [0.8971, 0.6328, 0.4383], [0.8971, 0.8672, 0.9383], [0.9269, 0.5214, 0.7150], [0.9269, 0.9786, 0.2150], [0.9616, 0.1989, 0.4040], [0.9616, 0.3011, 0.9040], [0.9913, 0.1284, 0.5719], [0.9913, 0.3716, 0.0719]], "e_above_lowest_polymorph_ev_per_fu": 0.05, "energy_corrected_mp2020_ev_per_atom": -6.470, "m_tot_mub_per_cell": 0.0, "e_tot_ev_per_atom": -5.99, "e_form_ev_per_atom": -1.924, "space_group": "No. 14"}


Entry 11:
{"formula": "ScAl3C3", "functional": "GGA-PBE", "state": "relaxed", "cell": [[3.3643, 0.0000, 0.0000], [-1.6821, 2.9135, 0.0000], [0.0000, 0.0000, 16.7856]], "species": ["Sc", "Sc", "Al", "Al", "Al", "Al", "Al", "Al", "C", "C", "C", "C", "C", "C"], "frac_coords": [[0.0000, 0.0000, 0.0000], [0.0000, 0.0000, 0.5000], [0.3333, 0.6667, 0.1288], [0.3333, 0.6667, 0.3706], [0.3333, 0.6667, 0.7555], [0.6667, 0.3333, 0.2555], [0.6667, 0.3333, 0.6288], [0.6667, 0.3333, 0.8706], [0.3333, 0.6667, 0.2490], [0.3333, 0.6667, 0.5827], [0.3333, 0.6667, 0.9093], [0.6667, 0.3333, 0.0827], [0.6667, 0.3333, 0.4093], [0.6667, 0.3333, 0.7490]], "m_tot_mub_per_cell": 0.0, "e_tot_ev_per_atom": -6.81, "piezo_max_c_m2": 3.0, "e_form_ev_per_atom": -0.346, "space_group": "No. 186"}


Entry 12:
{"formula": "DyTlO2", "functional": "GGA-PBE", "state": "relaxed", "cell": [[3.5040, 0.0000, 0.0000], [-1.7520, 3.0346, 0.0000], [0.0000, 0.0000, 19.5408]], "species": ["Dy", "Dy", "Dy", "Tl", "Tl", "Tl", "O", "O", "O", "O", "O", "O"], "frac_coords": [[0.0000, 0.0000, 0.0000], [0.3333, 0.6667, 0.6667], [0.6667, 0.3333, 0.3333], [0.0000, 0.0000, 0.5000], [0.3333, 0.6667, 0.1667], [0.6667, 0.3333, 0.8333], [0.0000, 0.0000, 0.2763], [0.0000, 0.0000, 0.7237], [0.3333, 0.6667, 0.3904], [0.3333, 0.6667, 0.9429], [0.6667, 0.3333, 0.0571], [0.6667, 0.3333, 0.6096]], "energy_corrected_mp2020_ev_per_atom": -6.931, "m_tot_mub_per_cell": 0.0, "e_tot_ev_per_atom": -6.59, "e_form_ev_per_atom": -2.715, "space_group": "No. 166"}